1.
## RbH2OF (GGA-PBE)

Data for crystalline RbH2OF at its relaxed geometry.

Lattice parameters (Å, degrees): 8.1868 4.2210 8.4750 90.00 90.00 90.00
Closest atoms and distances in Å follow each position.
Element x y z (fractional)
Rb: 0.2403 0.2500 0.0422  4 F 2.90-2.95, 1 O 2.91, 6 H 2.93-3.08
Rb: 0.2597 0.7500 0.5422  4 F 2.90-2.95, 1 O 2.91, 6 H 2.93-3.08
Rb: 0.7403 0.2500 0.4578  4 F 2.90-2.95, 1 O 2.91, 6 H 2.93-3.08
Rb: 0.7597 0.7500 0.9578  4 F 2.90-2.95, 1 O 2.91, 6 H 2.93-3.08
H: 0.0317 0.0611 0.7597  1 O 1.00
H: 0.0317 0.4389 0.7597  1 O 1.00
H: 0.4683 0.5611 0.2597  1 O 1.00
H: 0.4683 0.9389 0.2597  1 O 1.00
H: 0.5317 0.0611 0.7403  1 O 1.00
H: 0.5317 0.4389 0.7403  1 O 1.00
H: 0.9683 0.5611 0.2403  1 O 1.00
H: 0.9683 0.9389 0.2403  1 O 1.00
O: 0.0048 0.7500 0.3024  2 H 1.00
O: 0.4952 0.2500 0.8024  2 H 1.00
O: 0.5048 0.7500 0.1976  2 H 1.00
O: 0.9952 0.2500 0.6976  2 H 1.00
F: 0.0981 0.7500 0.8528  2 H 1.63
F: 0.4019 0.2500 0.3528  2 H 1.63
F: 0.5981 0.7500 0.6472  2 H 1.63
F: 0.9019 0.2500 0.1472  2 H 1.63

Values from the calculation:
Uncorrected energy, eV per atom: -4.62
Size of the total moment, μB/cell: 0.0



2.
## Y2Si2O7 (GGA-PBE)

Data for crystalline Y2Si2O7 at its relaxed geometry.

Lattice parameters (Å, degrees): 13.8407 8.2233 5.0959 90.00 90.00 90.00
Closest atoms and distances in Å follow each position.
Element x y z (fractional)
Y: 0.1257 0.0094 0.1581  6 O 2.24-2.48
Y: 0.1257 0.4906 0.1581  6 O 2.24-2.48
Y: 0.3743 0.5094 0.6581  6 O 2.24-2.48
Y: 0.3743 0.9906 0.6581  6 O 2.24-2.48
Y: 0.6257 0.0094 0.3419  6 O 2.24-2.48
Y: 0.6257 0.4906 0.3419  6 O 2.24-2.48
Y: 0.8743 0.5094 0.8419  6 O 2.24-2.48
Y: 0.8743 0.9906 0.8419  6 O 2.24-2.48
Si: 0.0401 0.7500 0.6256  4 O 1.63-1.70
Si: 0.1811 0.2500 0.6206  4 O 1.62-1.68
Si: 0.3189 0.7500 0.1206  4 O 1.62-1.68
Si: 0.4599 0.2500 0.1256  4 O 1.63-1.70
Si: 0.5401 0.7500 0.8744  4 O 1.63-1.70
Si: 0.6811 0.2500 0.8794  4 O 1.62-1.68
Si: 0.8189 0.7500 0.3794  4 O 1.62-1.68
Si: 0.9599 0.2500 0.3744  4 O 1.63-1.70
O: 0.0471 0.5816 0.7932  1 Si 1.63
O: 0.0471 0.9184 0.7932  1 Si 1.63
O: 0.0803 0.2500 0.4355  2 Si 1.68-1.70
O: 0.0997 0.7500 0.3496  1 Si 1.63
O: 0.1549 0.2500 0.9311  1 Si 1.62
O: 0.2327 0.0856 0.5107  1 Si 1.63
O: 0.2327 0.4144 0.5107  1 Si 1.63
O: 0.2673 0.5856 0.0106  1 Si 1.63
O: 0.2673 0.9144 0.0106  1 Si 1.63
O: 0.3451 0.7500 0.4311  1 Si 1.62
O: 0.4003 0.2500 0.8496  1 Si 1.63
O: 0.4197 0.7500 0.9355  2 Si 1.68-1.70
O: 0.4529 0.0816 0.2932  1 Si 1.63
O: 0.4529 0.4184 0.2932  1 Si 1.63
O: 0.5471 0.5816 0.7068  1 Si 1.63
O: 0.5471 0.9184 0.7068  1 Si 1.63
O: 0.5803 0.2500 0.0645  2 Si 1.68-1.70
O: 0.5997 0.7500 0.1504  1 Si 1.63
O: 0.6549 0.2500 0.5689  1 Si 1.62
O: 0.7327 0.0856 0.9894  1 Si 1.63
O: 0.7327 0.4144 0.9894  1 Si 1.63
O: 0.7673 0.5856 0.4894  1 Si 1.63
O: 0.7673 0.9144 0.4894  1 Si 1.63
O: 0.8451 0.7500 0.0689  1 Si 1.62
O: 0.9003 0.2500 0.6504  1 Si 1.63
O: 0.9197 0.7500 0.5645  2 Si 1.68-1.70
O: 0.9529 0.0816 0.2068  1 Si 1.63
O: 0.9529 0.4184 0.2068  1 Si 1.63

Values from the calculation:
Uncorrected energy, eV per atom: -8.53
Size of the total moment, μB/cell: 0.0



3.
## Na2Ta2In6Si3S9O48 (GGA-PBE)

Data for crystalline Na2Ta2In6Si3S9O48 at its relaxed geometry.

Lattice parameters (Å, degrees): 8.8926 15.4422 23.2867 89.79 90.00 89.73
Closest atoms and distances in Å follow each position.
Element x y z (fractional)
Na: 0.0000 0.0000 0.0000  3 O 2.41-2.57
Na: 0.0050 0.3388 0.1633  4 O 2.39-2.65
Na: 0.0108 0.9942 0.4991  5 O 2.43-2.70
Na: 0.5177 0.4965 0.0052  3 O 2.36-2.58
Na: 0.5256 0.8357 0.6609  2 O 2.33-2.58
Na: 0.5319 0.5022 0.4951  3 O 2.37-2.59
Ta: 0.0033 0.3444 0.5178  3 O 1.84-2.00
Ta: 0.0091 0.6649 0.6811  5 O 1.87-2.07
Ta: 0.0222 0.3403 0.8092  5 O 1.84-2.03
Ta: 0.5062 0.8351 0.3059  3 O 1.83-2.00
Ta: 0.5222 0.1659 0.1828  5 O 1.90-2.10
Ta: 0.5278 0.8437 0.0207  4 O 1.85-2.07
In: 0.0019 0.3335 0.0211  6 O 2.03-2.25
In: 0.0020 0.6746 0.4785  5 O 2.02-2.24
In: 0.0083 0.9950 0.8523  6 O 2.03-2.25
In: 0.0121 0.3387 0.3150  5 O 1.98-2.18
In: 0.0144 0.0000 0.6460  6 O 2.02-2.25
In: 0.0143 0.6711 0.9756  5 O 1.97-2.16
In: 0.0181 0.9997 0.1480  4 O 2.00-2.21
In: 0.0208 0.0072 0.3471  4 O 1.99-2.19
In: 0.0257 0.6708 0.1855  5 O 1.99-2.22
In: 0.5095 0.5097 0.8474  4 O 1.98-2.22
In: 0.5130 0.5003 0.6467  6 O 2.01-2.25
In: 0.5149 0.5037 0.1486  4 O 2.00-2.19
In: 0.5161 0.1730 0.6815  6 O 2.14-2.22
In: 0.5190 0.4993 0.3490  3 O 2.00-2.19
In: 0.5200 0.1698 0.4735  5 O 1.96-2.19
In: 0.5197 0.8368 0.8163  4 O 1.98-2.20
In: 0.5292 0.1746 0.9816  4 O 2.02-2.25
In: 0.5285 0.8350 0.5186  6 O 2.05-2.26
Si: 0.2282 0.5071 0.7472  4 O 1.60-1.71
Si: 0.3036 0.0072 0.2475  4 O 1.60-1.68
Si: 0.3695 0.6430 0.2485  4 O 1.60-1.72
Si: 0.6565 0.3203 0.0814  4 O 1.62-1.67
Si: 0.6716 0.0266 0.0799  4 O 1.60-1.70
Si: 0.7191 0.3391 0.4126  4 O 1.59-1.73
Si: 0.8098 0.8369 0.9142  4 O 1.59-1.70
Si: 0.8614 0.5257 0.5790  4 O 1.59-1.69
Si: 0.8710 0.8186 0.5805  4 O 1.60-1.68
S: 0.1557 0.1911 0.4171  4 O 1.47-1.50
S: 0.1602 0.1491 0.7495  4 O 1.47-1.53
S: 0.1598 0.5247 0.0784  4 O 1.47-1.49
S: 0.1608 0.4842 0.4171  4 O 1.46-1.54
S: 0.1664 0.8169 0.0779  4 O 1.47-1.50
S: 0.1677 0.8542 0.7469  4 O 1.47-1.50
S: 0.2279 0.1705 0.0812  4 O 1.47-1.49
S: 0.2299 0.8369 0.4151  4 O 1.46-1.51
S: 0.3026 0.3366 0.9150  4 O 1.46-1.55
S: 0.3029 0.6713 0.5810  4 O 1.46-1.51
S: 0.3635 0.3516 0.2468  4 O 1.47-1.50
S: 0.3649 0.3148 0.5790  4 O 1.47-1.50
S: 0.3704 0.0261 0.5805  4 O 1.47-1.49
S: 0.3709 0.9847 0.9165  4 O 1.46-1.52
S: 0.3752 0.6911 0.9172  4 O 1.47-1.50
S: 0.6586 0.6937 0.4126  4 O 1.47-1.49
S: 0.6646 0.6530 0.7463  4 O 1.47-1.50
S: 0.6650 0.9800 0.4124  4 O 1.47-1.50
S: 0.6658 0.3545 0.7501  4 O 1.46-1.53
S: 0.7172 0.0052 0.7468  4 O 1.48-1.49
S: 0.7236 0.6712 0.0795  4 O 1.47-1.53
S: 0.8123 0.1720 0.5800  4 O 1.47-1.50
S: 0.8161 0.5023 0.2463  4 O 1.47-1.50
S: 0.8642 0.8560 0.2500  4 O 1.46-1.51
S: 0.8674 0.1531 0.2465  4 O 1.47-1.51
S: 0.8675 0.4797 0.9122  4 O 1.46-1.53
S: 0.8746 0.1934 0.9117  4 O 1.46-1.51
O: 0.0759 0.1063 0.4157  1 S 1.49
O: 0.0857 0.1157 0.6974  1 S 1.48
O: 0.0908 0.2381 0.7612  1 S 1.53
O: 0.0905 0.5635 0.1299  1 S 1.48
O: 0.0913 0.5688 0.4251  1 S 1.46
O: 0.0922 0.2396 0.4676  1 S 1.50
O: 0.0940 0.4364 0.0736  1 S 1.49
O: 0.0964 0.7765 0.0276  1 S 1.47
O: 0.0983 0.8920 0.7991  1 S 1.48
O: 0.0991 0.7694 0.7362  1 S 1.47
O: 0.1011 0.4456 0.3642  1 S 1.47
O: 0.1040 0.9054 0.0821  1 S 1.48
O: 0.1138 0.4215 0.7631  1 Si 1.71, 1 Ta 1.84
O: 0.1172 0.5894 0.7331  1 Si 1.64
O: 0.1226 0.4246 0.4683  1 S 1.54
O: 0.1277 0.0952 0.0875  1 S 1.47
O: 0.1284 0.5758 0.0254  1 S 1.49
O: 0.1304 0.9144 0.4093  1 S 1.49
O: 0.1354 0.2402 0.3632  1 S 1.47
O: 0.1357 0.0934 0.8001  1 S 1.47
O: 0.1385 0.2526 0.0795  1 S 1.49
O: 0.1441 0.7564 0.4175  1 S 1.46
O: 0.1455 0.7663 0.1310  1 S 1.47
O: 0.1497 0.9129 0.6964  1 S 1.49
O: 0.1943 0.6649 0.2414  1 Si 1.60
O: 0.1973 0.3403 0.2539  1 S 1.50
O: 0.1987 0.3306 0.8619  1 S 1.55
O: 0.2003 0.3219 0.5694  1 S 1.48
O: 0.2033 0.6794 0.6333  1 S 1.51
O: 0.2042 0.0217 0.5865  1 S 1.49
O: 0.2040 0.9907 0.9136  1 S 1.49
O: 0.2063 0.3512 0.9657  1 S 1.48
O: 0.2097 0.9811 0.1915  1 Si 1.60
O: 0.2126 0.0285 0.3055  1 Si 1.61
O: 0.2130 0.6770 0.9240  1 S 1.47
O: 0.2163 0.6592 0.5283  1 S 1.46
O: 0.3130 0.1580 0.0275  1 S 1.48
O: 0.3162 0.5253 0.8060  1 Si 1.60
O: 0.3177 0.1775 0.4246  1 S 1.47
O: 0.3224 0.1633 0.7411  1 S 1.47
O: 0.3236 0.4791 0.6919  1 Si 1.60
O: 0.3236 0.8516 0.4671  1 S 1.49
O: 0.3249 0.5183 0.0827  1 S 1.47
O: 0.3261 0.4871 0.4173  1 S 1.47
O: 0.3272 0.1791 0.1325  1 S 1.49
O: 0.3310 0.8314 0.3632  1 S 1.51
O: 0.3328 0.8235 0.0675  1 S 1.50
O: 0.3340 0.8436 0.7541  1 S 1.50
O: 0.3816 0.4078 0.1957  1 S 1.48
O: 0.3854 0.2645 0.6336  1 S 1.50
O: 0.3873 0.2555 0.9160  1 S 1.46
O: 0.3915 0.7529 0.5799  1 S 1.49
O: 0.3938 0.7392 0.8623  1 S 1.48
O: 0.3965 0.5861 0.3056  1 Si 1.61
O: 0.3995 0.4136 0.9076  1 S 1.48
O: 0.4010 0.0782 0.5288  1 S 1.47
O: 0.4029 0.5954 0.5878  1 S 1.48
O: 0.4033 0.9253 0.9670  1 S 1.52
O: 0.4131 0.0900 0.2326  1 Si 1.65
O: 0.4167 0.9230 0.2632  1 Si 1.68, 1 Ta 1.85
O: 0.4308 0.2650 0.2356  1 S 1.49
O: 0.4308 0.4021 0.5838  1 S 1.48
O: 0.4309 0.9466 0.8628  1 S 1.48
O: 0.4340 0.3862 0.2991  1 S 1.47
O: 0.4346 0.9375 0.5758  1 S 1.48
O: 0.4383 0.0636 0.6336  1 S 1.49
O: 0.4382 0.2718 0.5303  1 S 1.47
O: 0.4383 0.7389 0.9667  1 S 1.49
O: 0.4390 0.0697 0.9245  1 S 1.46
O: 0.4468 0.7424 0.2631  1 Si 1.72, 1 Ta 1.83
O: 0.4532 0.6108 0.1909  1 Si 1.61
O: 0.4557 0.6054 0.9152  1 S 1.50
O: 0.5825 0.9307 0.0710  1 Si 1.70, 1 Ta 1.85
O: 0.5842 0.4169 0.0882  1 Si 1.63
O: 0.5866 0.2853 0.0214  1 Si 1.62
O: 0.5898 0.0650 0.4173  1 S 1.48
O: 0.5910 0.6075 0.4075  1 S 1.47
O: 0.5925 0.0735 0.1364  1 Si 1.66
O: 0.5932 0.7299 0.4664  1 S 1.49
O: 0.5965 0.3941 0.8012  1 S 1.47
O: 0.5959 0.7403 0.7509  1 S 1.48
O: 0.5974 0.6115 0.6959  1 S 1.47
O: 0.6021 0.9349 0.3624  1 S 1.47
O: 0.6027 0.2672 0.7420  1 S 1.48
O: 0.6120 0.2553 0.1363  1 Si 1.67
O: 0.6181 0.7506 0.3629  1 S 1.49
O: 0.6186 0.9280 0.7513  1 S 1.49
O: 0.6213 0.4282 0.4127  1 Si 1.62
O: 0.6225 0.0841 0.7397  1 S 1.49
O: 0.6230 0.2541 0.4243  1 Si 1.59
O: 0.6230 0.5964 0.0839  1 S 1.47
O: 0.6248 0.7508 0.0692  1 S 1.53
O: 0.6436 0.0775 0.0210  1 Si 1.60
O: 0.6458 0.9294 0.4665  1 S 1.49
O: 0.6477 0.6014 0.7995  1 S 1.48
O: 0.6565 0.4083 0.6984  1 S 1.46
O: 0.6850 0.5082 0.5892  1 Si 1.61
O: 0.6862 0.8228 0.5824  1 Si 1.64
O: 0.6894 0.8487 0.9706  1 Si 1.70, 1 Ta 1.85
O: 0.6981 0.8476 0.2620  1 S 1.51
O: 0.7001 0.1626 0.2379  1 S 1.51
O: 0.7028 0.4889 0.9038  1 S 1.48
O: 0.7106 0.1886 0.9135  1 S 1.46
O: 0.7145 0.8240 0.8564  1 Si 1.61
O: 0.7158 0.1542 0.5303  1 S 1.47
O: 0.7234 0.4847 0.1949  1 S 1.48
O: 0.7243 0.1902 0.6328  1 S 1.49
O: 0.7274 0.5118 0.2993  1 S 1.47
O: 0.8100 0.0182 0.7986  1 S 1.48
O: 0.8118 0.9913 0.6950  1 S 1.49
O: 0.8128 0.6885 0.1314  1 S 1.47
O: 0.8178 0.6567 0.0283  1 S 1.47
O: 0.8211 0.3228 0.3574  1 Si 1.59
O: 0.8239 0.6898 0.4138  1 S 1.47
O: 0.8312 0.6625 0.7375  1 S 1.50
O: 0.8317 0.9915 0.4063  1 S 1.50
O: 0.8332 0.3425 0.7623  1 S 1.53
O: 0.8382 0.3511 0.4707  1 Si 1.73, 1 Ta 1.84
O: 0.8419 0.3224 0.0827  1 Si 1.65
O: 0.8481 0.0083 0.0891  1 Si 1.61
O: 0.8754 0.9108 0.1984  1 S 1.47
O: 0.8852 0.1014 0.2995  1 S 1.48
O: 0.8896 0.4265 0.9640  1 S 1.47
O: 0.8917 0.5794 0.5220  1 Si 1.59
O: 0.9039 0.5822 0.2391  1 S 1.47
O: 0.9064 0.9268 0.9159  1 Si 1.64
O: 0.9077 0.2499 0.5693  1 S 1.50
O: 0.9089 0.7518 0.9234  1 Si 1.59
O: 0.9149 0.0972 0.5873  1 S 1.48
O: 0.9147 0.2499 0.8610  1 S 1.51
O: 0.9160 0.7555 0.6371  1 Si 1.68
O: 0.9210 0.4259 0.2500  1 S 1.50
O: 0.9245 0.7690 0.2413  1 S 1.46
O: 0.9319 0.4321 0.8604  1 S 1.53
O: 0.9338 0.1117 0.1956  1 S 1.47
O: 0.9348 0.2398 0.2510  1 S 1.47
O: 0.9358 0.8949 0.3009  1 S 1.48
O: 0.9396 0.5727 0.6366  1 Si 1.68, 1 Ta 1.87
O: 0.9410 0.2302 0.9645  1 S 1.48
O: 0.9440 0.5629 0.9150  1 S 1.46
O: 0.9437 0.7820 0.5223  1 Si 1.60
O: 0.9442 0.9154 0.5860  1 Si 1.64
O: 0.9477 0.1081 0.9046  1 S 1.48
O: 0.9501 0.4299 0.5707  1 Si 1.69, 1 Ta 1.87

Values from the calculation:
Uncorrected energy, eV per atom: -6.52
Size of the total moment, μB/cell: 0.0



4.
## GdCd (GGA-PBE)

Data for crystalline GdCd at its relaxed geometry.

Lattice parameters (Å, degrees): 3.7722 3.7722 3.7722 90.00 90.00 90.00
Closest atoms and distances in Å follow each position.
Element x y z (fractional)
Gd: 0.0000 0.0000 0.0000  8 Cd 3.27
Cd: 0.5000 0.5000 0.5000  8 Gd 3.27

Values from the calculation:
Uncorrected energy, eV per atom: -7.84